1.
A plane-wave DFT calculation with PBE+U was carried out for a relaxed structure of LiSc4Fe4O12.

Structure (POSCAR):
```
LiSc4Fe4O12
1.0
-2.465 1.854 4.106
-4.772 -1.053 -2.565
-0.195 -7.090 3.393
O Sc Li Fe
12 4 1 4
direct
0.291 0.695 0.592
0.333 0.920 0.256
0.817 0.575 0.735
0.312 0.666 0.939
0.686 0.295 0.421
0.801 0.794 0.403
0.678 0.295 0.084
0.186 0.165 0.934
0.185 0.192 0.594
0.808 0.816 0.067
0.162 0.419 0.279
0.642 0.068 0.749
0.942 0.110 0.242
0.537 0.559 0.248
0.010 0.930 0.762
0.448 0.421 0.753
0.062 0.706 0.213
0.990 0.490 0.514
0.485 0.988 0.501
0.973 0.474 0.962
0.489 0.983 0.001
```

Values from the calculation:
**Calculated total energy**: -7.566 eV per atom
**SG**: P1 (1)


2.
A plane-wave DFT calculation with PBE+U was carried out for a relaxed structure of LiSc4Fe4O12.

Structure (POSCAR):
```
LiSc4Fe4O12
1.0
5.126 0.053 -0.091
0.057 5.443 -0.007
-0.136 -0.012 8.045
Sc O Fe Li
4 12 4 1
direct
0.538 0.604 0.249
0.040 0.938 0.745
0.465 0.437 0.757
0.936 0.068 0.257
0.694 0.312 0.410
0.797 0.806 0.425
0.323 0.932 0.280
0.195 0.181 0.924
0.195 0.213 0.588
0.695 0.303 0.076
0.839 0.586 0.758
0.303 0.673 0.931
0.298 0.709 0.594
0.670 0.092 0.726
0.161 0.427 0.254
0.807 0.793 0.095
0.492 0.012 0.503
0.545 0.957 0.945
0.006 0.505 0.494
0.990 0.492 0.995
0.373 0.199 0.145
```

Values from the calculation:
**Calculated total energy**: -7.571 eV per atom
**SG**: P1 (1)


| no. | ΔH_f (0 K) (meV/atom) | total magnetic moment (μB per cell) | excess energy over the best structure of this formula in the dataset (eV per formula unit) |
| --- | --- | --- | --- |
| 1 | -2651 | 19.00 | 0.59 |
| 2 | -2655 | 19.00 | 0.49 |